No. 1
The following is a DFT calculation (PBE-GGA) of crystalline Na3Hf3ScP6O24 at its relaxed geometry.

Summary:
SG = P1 (1)

abc: 8.914 8.913 23.068
angles: 89.98 90.01 120.23
Fractional coordinates of all 111 atoms:
1 Na 0.366 0.362 0.249
2 Na 0.637 0.633 0.749
3 Na 0.970 0.300 0.415
4 Na 0.000 0.995 0.499
5 Na 0.000 0.000 0.001
6 Na 0.667 0.328 0.833
7 Na 0.667 0.333 0.331
8 Na 0.333 0.672 0.165
9 Na 0.328 0.667 0.666
10 Hf 0.001 0.002 0.854
11 Hf 0.002 0.002 0.646
12 Hf 0.998 0.998 0.146
13 Hf 0.667 0.333 0.981
14 Hf 0.661 0.334 0.482
15 Hf 0.333 0.667 0.021
16 Hf 0.334 0.668 0.521
17 Hf 0.334 0.673 0.313
18 Hf 0.328 0.667 0.815
19 Sc 0.999 0.993 0.351
20 Sc 0.667 0.327 0.685
21 Sc 0.673 0.333 0.184
22 P 0.291 0.001 0.250
23 P 0.710 0.708 0.250
24 P 0.996 0.289 0.251
25 P 0.291 0.290 0.750
26 P 0.001 0.710 0.750
27 P 0.711 0.003 0.750
28 P 0.957 0.333 0.583
29 P 0.376 0.043 0.584
30 P 0.666 0.624 0.585
31 P 0.957 0.623 0.084
32 P 0.667 0.044 0.084
33 P 0.377 0.333 0.084
34 P 0.623 0.666 0.916
35 P 0.042 0.376 0.917
36 P 0.334 0.958 0.917
37 P 0.625 0.957 0.417
38 P 0.334 0.376 0.416
39 P 0.043 0.670 0.417
40 O 0.209 0.033 0.304
41 O 0.820 0.792 0.304
42 O 0.973 0.183 0.307
43 O 0.203 0.177 0.804
44 O 0.970 0.796 0.804
45 O 0.824 0.026 0.804
46 O 0.793 0.966 0.697
47 O 0.176 0.205 0.696
48 O 0.030 0.825 0.696
49 O 0.794 0.824 0.196
50 O 0.034 0.206 0.197
51 O 0.175 0.970 0.196
52 O 0.875 0.364 0.637
53 O 0.488 0.124 0.638
54 O 0.636 0.516 0.639
55 O 0.877 0.513 0.137
56 O 0.636 0.123 0.137
57 O 0.484 0.364 0.139
58 O 0.462 0.305 0.030
59 O 0.844 0.539 0.029
60 O 0.696 0.156 0.029
61 O 0.460 0.155 0.529
62 O 0.695 0.539 0.530
63 O 0.847 0.305 0.527
64 O 0.537 0.695 0.970
65 O 0.157 0.462 0.971
66 O 0.304 0.842 0.971
67 O 0.537 0.843 0.471
68 O 0.304 0.464 0.470
69 O 0.157 0.692 0.471
70 O 0.126 0.633 0.364
71 O 0.510 0.873 0.363
72 O 0.363 0.488 0.361
73 O 0.127 0.489 0.863
74 O 0.362 0.872 0.863
75 O 0.513 0.639 0.861
76 O 0.023 0.829 0.411
77 O 0.809 0.984 0.411
78 O 0.168 0.198 0.411
79 O 0.024 0.195 0.909
80 O 0.171 0.976 0.909
81 O 0.805 0.829 0.909
82 O 0.976 0.171 0.590
83 O 0.194 0.023 0.590
84 O 0.830 0.807 0.590
85 O 0.977 0.806 0.090
86 O 0.829 0.023 0.090
87 O 0.193 0.170 0.090
88 O 0.690 0.162 0.744
89 O 0.475 0.317 0.744
90 O 0.835 0.531 0.744
91 O 0.681 0.523 0.244
92 O 0.839 0.312 0.244
93 O 0.470 0.165 0.243
94 O 0.642 0.504 0.924
95 O 0.861 0.357 0.924
96 O 0.496 0.140 0.924
97 O 0.647 0.142 0.424
98 O 0.497 0.359 0.424
99 O 0.864 0.499 0.424
100 O 0.356 0.495 0.075
101 O 0.139 0.645 0.075
102 O 0.505 0.860 0.075
103 O 0.355 0.861 0.575
104 O 0.505 0.644 0.575
105 O 0.140 0.495 0.575
106 O 0.308 0.837 0.257
107 O 0.524 0.686 0.257
108 O 0.168 0.470 0.257
109 O 0.314 0.475 0.757
110 O 0.163 0.692 0.757
111 O 0.531 0.833 0.757

No. 2
The following is a DFT calculation (PBE-GGA) of crystalline Na5HfSc3P6O24 at its relaxed geometry.

Summary:
SG = P1 (1)

abc: 8.989 8.971 22.714
angles: 89.94 90.03 119.99
Fractional coordinates of all 117 atoms:
1 Na 0.637 0.000 0.253
2 Na 0.363 0.364 0.254
3 Na 0.000 0.637 0.253
4 Na 0.644 0.637 0.748
5 Na 0.996 0.358 0.749
6 Na 0.032 0.700 0.581
7 Na 0.665 0.966 0.581
8 Na 0.665 0.700 0.082
9 Na 0.033 0.332 0.082
10 Na 0.011 0.012 0.495
11 Na 0.011 0.999 0.995
12 Na 0.655 0.320 0.833
13 Na 0.667 0.334 0.338
14 Na 0.333 0.678 0.165
15 Na 0.333 0.665 0.662
16 Hf 0.665 0.332 0.978
17 Hf 0.664 0.333 0.479
18 Hf 0.334 0.672 0.817
19 Sc 0.999 0.999 0.355
20 Sc 0.002 0.000 0.854
21 Sc 0.009 0.006 0.648
22 Sc 0.006 0.999 0.148
23 Sc 0.658 0.327 0.684
24 Sc 0.664 0.330 0.183
25 Sc 0.333 0.672 0.016
26 Sc 0.333 0.660 0.515
27 Sc 0.333 0.667 0.320
28 P 0.293 0.000 0.251
29 P 0.707 0.707 0.249
30 P 0.000 0.293 0.249
31 P 0.293 0.293 0.752
32 P 0.001 0.707 0.749
33 P 0.708 0.000 0.749
34 P 0.959 0.334 0.585
35 P 0.372 0.039 0.583
36 P 0.666 0.627 0.585
37 P 0.960 0.626 0.084
38 P 0.666 0.039 0.084
39 P 0.373 0.333 0.083
40 P 0.629 0.668 0.918
41 P 0.039 0.371 0.918
42 P 0.332 0.962 0.918
43 P 0.630 0.962 0.417
44 P 0.332 0.370 0.415
45 P 0.038 0.667 0.417
46 O 0.209 0.031 0.304
47 O 0.825 0.795 0.301
48 O 0.970 0.175 0.302
49 O 0.208 0.185 0.806
50 O 0.971 0.795 0.802
51 O 0.826 0.028 0.802
52 O 0.784 0.966 0.693
53 O 0.179 0.215 0.697
54 O 0.028 0.811 0.692
55 O 0.786 0.815 0.192
56 O 0.029 0.214 0.192
57 O 0.179 0.969 0.195
58 O 0.878 0.361 0.641
59 O 0.487 0.124 0.637
60 O 0.643 0.524 0.642
61 O 0.878 0.517 0.140
62 O 0.643 0.119 0.141
63 O 0.481 0.361 0.140
64 O 0.468 0.314 0.030
65 O 0.840 0.531 0.031
66 O 0.691 0.158 0.031
67 O 0.463 0.151 0.528
68 O 0.691 0.533 0.532
69 O 0.839 0.308 0.532
70 O 0.542 0.688 0.973
71 O 0.146 0.458 0.974
72 O 0.311 0.852 0.972
73 O 0.541 0.854 0.473
74 O 0.313 0.463 0.469
75 O 0.146 0.687 0.473
76 O 0.120 0.641 0.361
77 O 0.521 0.879 0.361
78 O 0.360 0.475 0.358
79 O 0.128 0.485 0.862
80 O 0.358 0.874 0.862
81 O 0.516 0.644 0.862
82 O 0.017 0.827 0.412
83 O 0.809 0.982 0.412
84 O 0.173 0.190 0.411
85 O 0.019 0.192 0.912
86 O 0.173 0.981 0.911
87 O 0.807 0.827 0.911
88 O 0.970 0.167 0.589
89 O 0.190 0.016 0.588
90 O 0.833 0.807 0.588
91 O 0.970 0.803 0.088
92 O 0.832 0.026 0.087
93 O 0.190 0.175 0.087
94 O 0.690 0.162 0.744
95 O 0.479 0.325 0.745
96 O 0.839 0.523 0.745
97 O 0.685 0.523 0.244
98 O 0.838 0.315 0.244
99 O 0.476 0.161 0.244
100 O 0.642 0.502 0.922
101 O 0.859 0.358 0.923
102 O 0.497 0.141 0.922
103 O 0.647 0.144 0.423
104 O 0.497 0.355 0.423
105 O 0.857 0.503 0.423
106 O 0.357 0.497 0.078
107 O 0.136 0.638 0.077
108 O 0.510 0.856 0.078
109 O 0.355 0.858 0.577
110 O 0.510 0.654 0.578
111 O 0.136 0.498 0.578
112 O 0.314 0.838 0.256
113 O 0.526 0.688 0.255
114 O 0.162 0.476 0.255
115 O 0.312 0.478 0.758
116 O 0.159 0.680 0.757
117 O 0.528 0.834 0.757

No. 3
The following is a DFT calculation (PBE-GGA) of crystalline Na2HfScP3O12 at its relaxed geometry.

abc: 8.962 8.962 23.030
angles: 90.09 89.91 120.51
Fractional coordinates of all 114 atoms:
1 Na 0.366 0.361 0.249
2 Na 0.639 0.634 0.749
3 Na 0.032 0.695 0.583
4 Na 0.305 0.968 0.083
5 Na 0.699 0.028 0.916
6 Na 0.972 0.301 0.416
7 Na 0.000 0.999 0.498
8 Na 0.001 0.000 0.998
9 Na 0.667 0.333 0.831
10 Na 0.667 0.333 0.331
11 Na 0.333 0.666 0.164
12 Na 0.334 0.667 0.664
13 Hf 0.001 0.008 0.648
14 Hf 0.992 0.999 0.148
15 Hf 0.668 0.341 0.981
16 Hf 0.659 0.332 0.481
17 Hf 0.335 0.674 0.314
18 Hf 0.326 0.665 0.814
19 Sc 0.999 0.992 0.352
20 Sc 0.008 0.001 0.852
21 Sc 0.666 0.325 0.685
22 Sc 0.675 0.334 0.185
23 Sc 0.332 0.659 0.018
24 Sc 0.341 0.668 0.518
25 P 0.291 0.000 0.249
26 P 0.708 0.707 0.251
27 P 0.997 0.290 0.252
28 P 0.293 0.292 0.751
29 P 0.000 0.709 0.749
30 P 0.710 0.003 0.752
31 P 0.957 0.333 0.583
32 P 0.375 0.040 0.584
33 P 0.664 0.623 0.585
34 P 0.960 0.625 0.084
35 P 0.667 0.043 0.083
36 P 0.377 0.336 0.085
37 P 0.624 0.666 0.916
38 P 0.041 0.374 0.917
39 P 0.331 0.957 0.918
40 P 0.626 0.959 0.417
41 P 0.334 0.376 0.416
42 P 0.043 0.669 0.418
43 O 0.206 0.031 0.303
44 O 0.819 0.792 0.304
45 O 0.975 0.184 0.307
46 O 0.208 0.181 0.804
47 O 0.969 0.794 0.803
48 O 0.816 0.025 0.807
49 O 0.795 0.968 0.698
50 O 0.178 0.207 0.696
51 O 0.028 0.820 0.694
52 O 0.793 0.822 0.196
53 O 0.032 0.205 0.198
54 O 0.180 0.972 0.194
55 O 0.873 0.365 0.636
56 O 0.486 0.126 0.637
57 O 0.641 0.518 0.640
58 O 0.874 0.514 0.137
59 O 0.635 0.127 0.136
60 O 0.482 0.359 0.140
61 O 0.462 0.301 0.031
62 O 0.845 0.540 0.030
63 O 0.695 0.154 0.027
64 O 0.460 0.155 0.530
65 O 0.699 0.538 0.531
66 O 0.846 0.305 0.527
67 O 0.540 0.698 0.969
68 O 0.152 0.459 0.971
69 O 0.308 0.851 0.973
70 O 0.541 0.848 0.471
71 O 0.302 0.460 0.469
72 O 0.149 0.692 0.473
73 O 0.128 0.634 0.364
74 O 0.512 0.874 0.363
75 O 0.362 0.487 0.360
76 O 0.126 0.488 0.863
77 O 0.366 0.872 0.864
78 O 0.513 0.638 0.860
79 O 0.021 0.826 0.410
80 O 0.811 0.988 0.410
81 O 0.168 0.197 0.410
82 O 0.012 0.189 0.910
83 O 0.174 0.979 0.910
84 O 0.803 0.832 0.910
85 O 0.975 0.170 0.590
86 O 0.189 0.018 0.590
87 O 0.836 0.804 0.590
88 O 0.982 0.811 0.090
89 O 0.830 0.025 0.090
90 O 0.196 0.164 0.090
91 O 0.688 0.160 0.744
92 O 0.477 0.321 0.744
93 O 0.835 0.530 0.743
94 O 0.679 0.523 0.244
95 O 0.840 0.312 0.244
96 O 0.470 0.165 0.243
97 O 0.641 0.503 0.923
98 O 0.856 0.351 0.923
99 O 0.503 0.138 0.924
100 O 0.649 0.144 0.423
101 O 0.497 0.359 0.423
102 O 0.862 0.497 0.424
103 O 0.355 0.493 0.077
104 O 0.144 0.655 0.077
105 O 0.501 0.863 0.076
106 O 0.345 0.856 0.577
107 O 0.507 0.645 0.577
108 O 0.137 0.499 0.576
109 O 0.308 0.837 0.257
110 O 0.523 0.684 0.257
111 O 0.169 0.471 0.257
112 O 0.316 0.477 0.757
113 O 0.163 0.692 0.757
114 O 0.529 0.831 0.757

| no. | formation energy (eV per atom) | total magnetic moment (μB per formula unit) | total energy (eV per atom) |
| --- | --- | --- | --- |
| 1 | -3.19 | 0.000 | -7.92 |
| 2 | -3.10 | 0.000 | -7.47 |
| 3 | -3.14 | 0.000 | -7.69 |